A plane-wave DFT calculation with PBE+U was carried out for a relaxed Li8Mn7FeB8O24 crystal.

CIF file:
```
data_Li8Mn7FeB8O24
_cell_length_a 6.066
_cell_length_b 9.030
_cell_length_c 9.865
_cell_angle_alpha 81.57
_cell_angle_beta 79.22
_cell_angle_gamma 77.24
_symmetry_space_group_name_H-M 'P 1'
_symmetry_Int_Tables_number 1
loop_
_symmetry_equiv_pos_as_xyz
'x,y,z'
loop_
_atom_site_label
_atom_site_type_symbol
_atom_site_fract_x
_atom_site_fract_y
_atom_site_fract_z
Li1 Li 0.000 0.000 0.000
Li2 Li 0.056 0.068 0.597
Li3 Li 0.250 0.501 0.750
Li4 Li 0.307 0.569 0.348
Li5 Li 0.501 0.000 0.501
Li6 Li 0.557 0.067 0.097
Li7 Li 0.749 0.501 0.250
Li8 Li 0.807 0.569 0.846
Mn1 Mn 0.067 0.328 0.025
Mn2 Mn 0.241 0.240 0.321
Mn3 Mn 0.316 0.828 0.775
Mn4 Mn 0.490 0.740 0.071
Mn5 Mn 0.567 0.328 0.525
Mn6 Mn 0.739 0.240 0.822
Mn7 Mn 0.819 0.827 0.278
Fe1 Fe 0.991 0.737 0.573
B1 B 0.011 0.403 0.576
B2 B 0.045 0.667 0.019
B3 B 0.260 0.902 0.330
B4 B 0.295 0.167 0.769
B5 B 0.511 0.402 0.078
B6 B 0.545 0.667 0.520
B7 B 0.761 0.901 0.825
B8 B 0.795 0.166 0.269
O1 O 0.094 0.551 0.934
O2 O 0.120 0.169 0.883
O3 O 0.139 0.781 0.364
O4 O 0.165 0.787 0.986
O5 O 0.186 0.399 0.463
O6 O 0.212 0.019 0.413
O7 O 0.344 0.051 0.684
O8 O 0.369 0.669 0.633
O9 O 0.392 0.281 0.109
O10 O 0.414 0.288 0.737
O11 O 0.433 0.899 0.214
O12 O 0.461 0.518 0.163
O13 O 0.595 0.551 0.435
O14 O 0.621 0.169 0.383
O15 O 0.641 0.781 0.860
O16 O 0.666 0.787 0.488
O17 O 0.685 0.400 0.963
O18 O 0.714 0.017 0.911
O19 O 0.844 0.050 0.184
O20 O 0.871 0.670 0.134
O21 O 0.891 0.283 0.611
O22 O 0.915 0.287 0.237
O23 O 0.933 0.898 0.710
O24 O 0.961 0.522 0.659
```

## Properties
Formation energy from the elements (eV per atom): -2.484
Total DFT energy (no corrections) (eV per cell): -348.9
Magnetization (μB per formula unit): 39.0